The following is a PBE with a Hubbard U calculation of crystalline CaCoNi2O7 at its relaxed geometry, from the Materials Project database.

Calculated values
ΔE_f   -1.123 eV per atom
Total magnetic moment   0.629 μB per atom

Cell: 14.215 6.740 10.917 Å, 76.70 90.00 90.00°
Fractional positions:
Ni (0.146, 0.117, 0.476)
Ni (0.298, 0.504, 0.196)
Ni (0.854, 0.883, 0.524)
Ni (0.485, 0.607, 0.178)
Ni (0.202, 0.504, 0.696)
Ni (0.354, 0.117, 0.976)
Ni (0.362, 0.832, 0.526)
Ni (0.515, 0.393, 0.822)
Ni (0.862, 0.168, 0.974)
Ni (0.702, 0.496, 0.804)
Ni (0.138, 0.832, 0.026)
Ni (0.015, 0.607, 0.678)
Ni (0.985, 0.393, 0.322)
Ni (0.638, 0.168, 0.474)
Ni (0.646, 0.883, 0.024)
Ni (0.798, 0.496, 0.304)
O (0.517, 0.236, 0.453)
O (0.784, 0.644, 0.573)
O (0.427, 0.614, 0.833)
O (0.983, 0.236, 0.953)
O (0.476, 0.195, 0.951)
O (0.573, 0.386, 0.167)
O (0.719, 0.382, 0.461)
O (0.346, 0.013, 0.373)
O (0.340, 0.001, 0.633)
O (0.226, 0.264, 0.228)
O (0.846, 0.987, 0.127)
O (0.219, 0.618, 0.039)
O (0.088, 0.428, 0.796)
O (0.261, 0.704, 0.286)
O (0.073, 0.614, 0.333)
O (0.840, 0.999, 0.867)
O (0.588, 0.572, 0.704)
O (0.160, 0.001, 0.133)
O (0.726, 0.736, 0.272)
O (0.412, 0.428, 0.296)
O (0.654, 0.987, 0.627)
O (0.761, 0.296, 0.214)
O (0.912, 0.572, 0.204)
O (0.529, 0.727, 0.297)
O (0.716, 0.644, 0.073)
O (0.483, 0.764, 0.547)
O (0.113, 0.546, 0.572)
O (0.163, 0.919, 0.382)
O (0.887, 0.454, 0.428)
O (0.029, 0.273, 0.203)
O (0.146, 0.026, 0.644)
O (0.284, 0.356, 0.927)
O (0.660, 0.999, 0.367)
O (0.927, 0.386, 0.667)
O (0.774, 0.736, 0.772)
O (0.837, 0.081, 0.618)
O (0.854, 0.974, 0.356)
O (0.154, 0.013, 0.873)
O (0.239, 0.704, 0.786)
O (0.024, 0.195, 0.451)
O (0.281, 0.618, 0.539)
O (0.387, 0.546, 0.072)
O (0.216, 0.356, 0.427)
O (0.274, 0.264, 0.728)
O (0.976, 0.805, 0.549)
O (0.646, 0.974, 0.856)
O (0.471, 0.273, 0.703)
O (0.017, 0.764, 0.047)
O (0.524, 0.805, 0.049)
O (0.971, 0.727, 0.797)
O (0.663, 0.081, 0.118)
O (0.613, 0.454, 0.928)
O (0.781, 0.382, 0.961)
O (0.354, 0.026, 0.144)
O (0.337, 0.919, 0.882)
O (0.739, 0.296, 0.714)
Co (0.755, 0.010, 0.242)
Co (0.745, 0.010, 0.742)
Co (0.322, 0.624, 0.917)
Co (0.245, 0.990, 0.758)
Co (0.178, 0.624, 0.417)
Co (0.255, 0.990, 0.258)
Co (0.678, 0.376, 0.083)
Co (0.822, 0.376, 0.583)
Ca (0.506, 0.908, 0.733)
Ca (0.006, 0.092, 0.767)
Ca (0.626, 0.665, 0.482)
Ca (0.994, 0.908, 0.233)
Ca (0.494, 0.092, 0.267)
Ca (0.874, 0.665, 0.982)
Ca (0.126, 0.335, 0.018)
Ca (0.374, 0.335, 0.518)